Entry 1:
The following is a DFT calculation (GGA-PBE) of a relaxed structure of Cs2KInBr6.

Output
The calculation puts the MP2020-corrected energy at -32.98 eV/cell. The value obtained for the total energy is -2.978 eV/atom. As for the formation energy from the elements: -1.75 eV per atom.

a = 8.324 Å, b = 8.324 Å, c = 8.324 Å
α = 60.00°, β = 60.00°, γ = 60.00°
Fractional coordinates of all 10 atoms:
Cs1 0.250 0.250 0.250
Cs2 0.750 0.750 0.750
K1 0.000 0.000 0.000
In1 0.500 0.500 0.500
Br1 0.270 0.270 0.730
Br2 0.270 0.730 0.270
Br3 0.270 0.730 0.730
Br4 0.730 0.270 0.270
Br5 0.730 0.270 0.730
Br6 0.730 0.730 0.270


Entry 2:
The following is a DFT calculation (GGA-PBE) of a relaxed structure of Cs2LiInBr6.

Output
The calculation puts the MP2020-corrected energy at -33.32 eV/cell. The value obtained for the total energy is -3.012 eV/atom. As for the formation energy from the elements: -1.71 eV per atom.

a = 7.844 Å, b = 7.844 Å, c = 7.844 Å
α = 60.00°, β = 60.00°, γ = 60.00°
Fractional coordinates of all 10 atoms:
Cs1 0.250 0.250 0.250
Cs2 0.750 0.750 0.750
Li1 0.000 0.000 0.000
In1 0.500 0.500 0.500
Br1 0.254 0.254 0.746
Br2 0.254 0.746 0.254
Br3 0.254 0.746 0.746
Br4 0.746 0.254 0.254
Br5 0.746 0.254 0.746
Br6 0.746 0.746 0.254


Entry 3:
The following is a DFT calculation (GGA-PBE) of a relaxed structure of Cs2NaInBr6.

Output
The calculation puts the MP2020-corrected energy at -32.90 eV/cell. The value obtained for the total energy is -2.970 eV/atom. As for the formation energy from the elements: -1.72 eV per atom.

a = 8.030 Å, b = 8.030 Å, c = 8.030 Å
α = 60.00°, β = 60.00°, γ = 60.00°
Fractional coordinates of all 10 atoms:
Cs1 0.250 0.250 0.250
Cs2 0.750 0.750 0.750
Na1 0.000 0.000 0.000
In1 0.500 0.500 0.500
Br1 0.261 0.261 0.739
Br2 0.261 0.739 0.261
Br3 0.261 0.739 0.739
Br4 0.739 0.261 0.261
Br5 0.739 0.261 0.739
Br6 0.739 0.739 0.261


Entry 4:
The following is a DFT calculation (GGA-PBE) of a relaxed structure of CsRb2InBr6.

Output
The calculation puts the MP2020-corrected energy at -32.15 eV/cell. The value obtained for the total energy is -2.894 eV/atom. As for the formation energy from the elements: -1.67 eV per atom.

a = 8.615 Å, b = 8.615 Å, c = 8.615 Å
α = 60.00°, β = 60.00°, γ = 60.00°
Fractional coordinates of all 10 atoms:
Cs1 0.000 0.000 0.000
Rb1 0.250 0.250 0.250
Rb2 0.750 0.750 0.750
In1 0.500 0.500 0.500
Br1 0.278 0.278 0.722
Br2 0.278 0.722 0.278
Br3 0.278 0.722 0.722
Br4 0.722 0.278 0.278
Br5 0.722 0.278 0.722
Br6 0.722 0.722 0.278


Entry 5:
The following is a DFT calculation (GGA-PBE) of a relaxed structure of Cs2InSbBr6.

Output
The calculation puts the MP2020-corrected energy at -33.25 eV/cell. The value obtained for the total energy is -3.004 eV/atom. As for the formation energy from the elements: -1.48 eV per atom.

a = 8.369 Å, b = 8.369 Å, c = 8.369 Å
α = 60.00°, β = 60.00°, γ = 60.00°
Fractional coordinates of all 10 atoms:
Cs1 0.250 0.250 0.250
Cs2 0.750 0.750 0.750
In1 0.000 0.000 0.000
Sb1 0.500 0.500 0.500
Br1 0.261 0.261 0.739
Br2 0.261 0.739 0.261
Br3 0.261 0.739 0.739
Br4 0.739 0.261 0.261
Br5 0.739 0.261 0.739
Br6 0.739 0.739 0.261


Entry 6:
The following is a DFT calculation (GGA-PBE) of a relaxed structure of Cs2ScInBr6.

Output
The calculation puts the MP2020-corrected energy at -39.70 eV/cell. The value obtained for the total energy is -3.650 eV/atom. As for the formation energy from the elements: -1.90 eV per atom.

a = 8.263 Å, b = 8.263 Å, c = 8.263 Å
α = 60.00°, β = 60.00°, γ = 60.00°
Fractional coordinates of all 10 atoms:
Cs1 0.250 0.250 0.250
Cs2 0.750 0.750 0.750
Sc1 0.000 0.000 0.000
In1 0.500 0.500 0.500
Br1 0.229 0.229 0.771
Br2 0.229 0.771 0.229
Br3 0.229 0.771 0.771
Br4 0.771 0.229 0.229
Br5 0.771 0.229 0.771
Br6 0.771 0.771 0.229


Entry 7:
The following is a DFT calculation (GGA-PBE) of a relaxed structure of Cs3IrBr6O.

Output
The calculation puts the MP2020-corrected energy at -146.61 eV/cell. The value obtained for the total energy is -3.270 eV/atom. As for the formation energy from the elements: -0.94 eV per atom.

a = 13.413 Å, b = 7.637 Å, c = 15.952 Å
α = 90.00°, β = 90.00°, γ = 90.00°
Fractional coordinates of all 44 atoms:
Cs1 0.060 0.250 0.143
Cs2 0.113 0.750 0.539
Cs3 0.166 0.250 0.774
Cs4 0.334 0.750 0.274
Cs5 0.387 0.250 0.039
Cs6 0.440 0.750 0.643
Cs7 0.560 0.250 0.357
Cs8 0.613 0.750 0.961
Cs9 0.666 0.250 0.726
Cs10 0.834 0.750 0.226
Cs11 0.887 0.250 0.461
Cs12 0.940 0.750 0.857
Ir1 0.224 0.250 0.405
Ir2 0.276 0.750 0.905
Ir3 0.724 0.250 0.095
Ir4 0.776 0.750 0.595
Br1 0.107 0.020 0.349
Br2 0.107 0.480 0.349
Br3 0.137 0.250 0.544
Br4 0.159 0.521 0.961
Br5 0.159 0.979 0.961
Br6 0.188 0.750 0.764
Br7 0.312 0.250 0.264
Br8 0.341 0.021 0.461
Br9 0.341 0.479 0.461
Br10 0.363 0.750 0.044
Br11 0.393 0.520 0.849
Br12 0.393 0.980 0.849
Br13 0.607 0.020 0.151
Br14 0.607 0.480 0.151
Br15 0.637 0.250 0.956
Br16 0.659 0.521 0.539
Br17 0.659 0.979 0.539
Br18 0.688 0.750 0.736
Br19 0.812 0.250 0.236
Br20 0.841 0.021 0.039
Br21 0.841 0.479 0.039
Br22 0.863 0.750 0.456
Br23 0.893 0.520 0.651
Br24 0.893 0.980 0.651
O1 0.061 0.750 0.161
O2 0.439 0.250 0.661
O3 0.561 0.750 0.339
O4 0.939 0.250 0.839


Entry 8:
The following is a DFT calculation (GGA-PBE) of a relaxed structure of Cs2KScBr6.

Output
The calculation puts the MP2020-corrected energy at -40.27 eV/cell. The value obtained for the total energy is -3.706 eV/atom. As for the formation energy from the elements: -2.12 eV per atom.

a = 8.253 Å, b = 8.253 Å, c = 8.253 Å
α = 60.00°, β = 60.00°, γ = 60.00°
Fractional coordinates of all 10 atoms:
Cs1 0.250 0.250 0.250
Cs2 0.750 0.750 0.750
K1 0.000 0.000 0.000
Sc1 0.500 0.500 0.500
Br1 0.272 0.272 0.728
Br2 0.272 0.728 0.272
Br3 0.272 0.728 0.728
Br4 0.728 0.272 0.272
Br5 0.728 0.272 0.728
Br6 0.728 0.728 0.272


Entry 9:
The following is a DFT calculation (GGA-PBE) of a relaxed structure of Cs2KTaBr6.

Output
The calculation puts the MP2020-corrected energy at -41.10 eV/cell. The value obtained for the total energy is -3.790 eV/atom. As for the formation energy from the elements: -1.65 eV per atom.

a = 8.196 Å, b = 8.196 Å, c = 8.196 Å
α = 60.00°, β = 60.00°, γ = 60.00°
Fractional coordinates of all 10 atoms:
Cs1 0.250 0.250 0.250
Cs2 0.750 0.750 0.750
K1 0.000 0.000 0.000
Ta1 0.500 0.500 0.500
Br1 0.273 0.273 0.727
Br2 0.273 0.727 0.273
Br3 0.273 0.727 0.727
Br4 0.727 0.273 0.273
Br5 0.727 0.273 0.727
Br6 0.727 0.727 0.273


Entry 10:
The following is a DFT calculation (GGA-PBE) of a relaxed structure of Cs2LaBr5.

Output
The calculation puts the MP2020-corrected energy at -132.93 eV/cell. The value obtained for the total energy is -3.820 eV/atom. As for the formation energy from the elements: -2.29 eV per atom.

a = 14.898 Å, b = 9.696 Å, c = 9.191 Å
α = 90.00°, β = 90.00°, γ = 90.00°
Fractional coordinates of all 32 atoms:
Cs1 0.172 0.006 0.054
Cs2 0.172 0.494 0.054
Cs3 0.328 0.506 0.554
Cs4 0.328 0.994 0.554
Cs5 0.672 0.006 0.446
Cs6 0.672 0.494 0.446
Cs7 0.828 0.506 0.946
Cs8 0.828 0.994 0.946
La1 0.004 0.250 0.568
La2 0.496 0.750 0.068
La3 0.504 0.250 0.932
La4 0.996 0.750 0.432
Br1 0.012 0.250 0.897
Br2 0.071 0.542 0.657
Br3 0.071 0.958 0.657
Br4 0.169 0.250 0.386
Br5 0.192 0.750 0.348
Br6 0.308 0.250 0.848
Br7 0.331 0.750 0.886
Br8 0.429 0.042 0.157
Br9 0.429 0.458 0.157
Br10 0.488 0.750 0.397
Br11 0.512 0.250 0.603
Br12 0.571 0.542 0.843
Br13 0.571 0.958 0.843
Br14 0.669 0.250 0.114
Br15 0.692 0.750 0.152
Br16 0.808 0.250 0.652
Br17 0.831 0.750 0.614
Br18 0.929 0.042 0.343
Br19 0.929 0.458 0.343
Br20 0.988 0.750 0.103


Entry 11:
The following is a DFT calculation (GGA-PBE) of a relaxed structure of Cs2LiLaBr6.

Output
The calculation puts the MP2020-corrected energy at -40.31 eV/cell. The value obtained for the total energy is -3.711 eV/atom. As for the formation energy from the elements: -2.19 eV per atom.

a = 8.098 Å, b = 8.098 Å, c = 8.098 Å
α = 60.00°, β = 60.00°, γ = 60.00°
Fractional coordinates of all 10 atoms:
Cs1 0.250 0.250 0.250
Cs2 0.750 0.750 0.750
Li1 0.000 0.000 0.000
La1 0.500 0.500 0.500
Br1 0.244 0.244 0.756
Br2 0.244 0.756 0.244
Br3 0.244 0.756 0.756
Br4 0.756 0.244 0.244
Br5 0.756 0.244 0.756
Br6 0.756 0.756 0.244


Entry 12:
The following is a DFT calculation (GGA-PBE) of a relaxed structure of CsLaNb6Br18.

Output
The calculation puts the MP2020-corrected energy at -271.77 eV/cell. The value obtained for the total energy is -4.857 eV/atom. As for the formation energy from the elements: -1.54 eV per atom.

a = 10.033 Å, b = 10.033 Å, c = 18.746 Å
α = 90.00°, β = 90.00°, γ = 120.00°
Fractional coordinates of all 52 atoms:
Cs1 0.333 0.667 0.250
Cs2 0.667 0.333 0.750
La1 0.333 0.667 0.750
La2 0.667 0.333 0.250
Nb1 0.037 0.186 0.936
Nb2 0.037 0.851 0.564
Nb3 0.149 0.186 0.564
Nb4 0.149 0.963 0.936
Nb5 0.186 0.037 0.436
Nb6 0.186 0.149 0.064
Nb7 0.814 0.851 0.936
Nb8 0.814 0.963 0.564
Nb9 0.851 0.037 0.064
Nb10 0.851 0.814 0.436
Nb11 0.963 0.149 0.436
Nb12 0.963 0.814 0.064
Br1 0.045 0.229 0.158
Br2 0.045 0.816 0.342
Br3 0.078 0.440 0.842
Br4 0.078 0.637 0.658
Br5 0.139 0.412 0.499
Br6 0.139 0.727 0.001
Br7 0.184 0.229 0.342
Br8 0.184 0.955 0.158
Br9 0.229 0.045 0.658
Br10 0.229 0.184 0.842
Br11 0.273 0.412 0.001
Br12 0.273 0.861 0.499
Br13 0.363 0.440 0.658
Br14 0.363 0.922 0.842
Br15 0.412 0.139 0.999
Br16 0.412 0.273 0.501
Br17 0.440 0.078 0.342
Br18 0.440 0.363 0.158
Br19 0.560 0.637 0.842
Br20 0.560 0.922 0.658
Br21 0.588 0.727 0.499
Br22 0.588 0.861 0.001
Br23 0.637 0.078 0.158
Br24 0.637 0.560 0.342
Br25 0.727 0.139 0.501
Br26 0.727 0.588 0.999
Br27 0.771 0.816 0.158
Br28 0.771 0.955 0.342
Br29 0.816 0.045 0.842
Br30 0.816 0.771 0.658
Br31 0.861 0.273 0.999
Br32 0.861 0.588 0.501
Br33 0.922 0.363 0.342
Br34 0.922 0.560 0.158
Br35 0.955 0.184 0.658
Br36 0.955 0.771 0.842


Entry 13:
The following is a DFT calculation (GGA-PBE) of a relaxed structure of Cs2LaTa6Br15O3.

Output
The calculation puts the MP2020-corrected energy at -319.97 eV/cell. The value obtained for the total energy is -5.849 eV/atom. As for the formation energy from the elements: -1.58 eV per atom.

a = 9.661 Å, b = 9.661 Å, c = 18.717 Å
α = 90.00°, β = 90.00°, γ = 120.00°
Fractional coordinates of all 54 atoms:
Cs1 0.333 0.667 0.045
Cs2 0.333 0.667 0.455
Cs3 0.667 0.333 0.545
Cs4 0.667 0.333 0.955
La1 0.333 0.667 0.750
La2 0.667 0.333 0.250
Ta1 0.017 0.188 0.812
Ta2 0.017 0.828 0.688
Ta3 0.172 0.188 0.688
Ta4 0.172 0.983 0.812
Ta5 0.188 0.017 0.312
Ta6 0.188 0.172 0.188
Ta7 0.812 0.828 0.812
Ta8 0.812 0.983 0.688
Ta9 0.828 0.017 0.188
Ta10 0.828 0.812 0.312
Ta11 0.983 0.172 0.312
Ta12 0.983 0.812 0.188
Br1 0.019 0.221 0.091
Br2 0.019 0.798 0.409
Br3 0.075 0.469 0.879
Br4 0.075 0.606 0.621
Br5 0.202 0.221 0.409
Br6 0.202 0.981 0.091
Br7 0.213 0.426 0.250
Br8 0.213 0.787 0.250
Br9 0.221 0.019 0.591
Br10 0.221 0.202 0.909
Br11 0.394 0.469 0.621
Br12 0.394 0.925 0.879
Br13 0.426 0.213 0.750
Br14 0.469 0.075 0.379
Br15 0.469 0.394 0.121
Br16 0.531 0.606 0.879
Br17 0.531 0.925 0.621
Br18 0.574 0.787 0.250
Br19 0.606 0.075 0.121
Br20 0.606 0.531 0.379
Br21 0.779 0.798 0.091
Br22 0.779 0.981 0.409
Br23 0.787 0.213 0.750
Br24 0.787 0.574 0.750
Br25 0.798 0.019 0.909
Br26 0.798 0.779 0.591
Br27 0.925 0.394 0.379
Br28 0.925 0.531 0.121
Br29 0.981 0.202 0.591
Br30 0.981 0.779 0.909
O1 0.180 0.360 0.750
O2 0.180 0.820 0.750
O3 0.360 0.180 0.250
O4 0.640 0.820 0.750
O5 0.820 0.180 0.250
O6 0.820 0.640 0.250


Entry 14:
The following is a DFT calculation (GGA-PBE) of a relaxed structure of CsLaTa6Br18.

Output
The calculation puts the MP2020-corrected energy at -291.93 eV/cell. The value obtained for the total energy is -5.244 eV/atom. As for the formation energy from the elements: -1.52 eV per atom.

a = 10.032 Å, b = 10.032 Å, c = 18.743 Å
α = 90.00°, β = 90.00°, γ = 120.00°
Fractional coordinates of all 52 atoms:
Cs1 0.333 0.667 0.250
Cs2 0.667 0.333 0.750
La1 0.333 0.667 0.750
La2 0.667 0.333 0.250
Ta1 0.036 0.183 0.937
Ta2 0.036 0.853 0.563
Ta3 0.147 0.183 0.563
Ta4 0.147 0.964 0.937
Ta5 0.183 0.036 0.437
Ta6 0.183 0.147 0.063
Ta7 0.817 0.853 0.937
Ta8 0.817 0.964 0.563
Ta9 0.853 0.036 0.063
Ta10 0.853 0.817 0.437
Ta11 0.964 0.147 0.437
Ta12 0.964 0.817 0.063
Br1 0.045 0.229 0.158
Br2 0.045 0.816 0.342
Br3 0.077 0.438 0.843
Br4 0.077 0.639 0.657
Br5 0.139 0.411 0.500
Br6 0.139 0.727 0.000
Br7 0.184 0.229 0.342
Br8 0.184 0.955 0.158
Br9 0.229 0.045 0.658
Br10 0.229 0.184 0.842
Br11 0.273 0.411 0.000
Br12 0.273 0.861 0.500
Br13 0.361 0.438 0.657
Br14 0.361 0.923 0.843
Br15 0.411 0.139 0.000
Br16 0.411 0.273 0.500
Br17 0.438 0.077 0.343
Br18 0.438 0.361 0.157
Br19 0.562 0.639 0.843
Br20 0.562 0.923 0.657
Br21 0.589 0.727 0.500
Br22 0.589 0.861 0.000
Br23 0.639 0.077 0.157
Br24 0.639 0.562 0.343
Br25 0.727 0.139 0.500
Br26 0.727 0.589 0.000
Br27 0.771 0.816 0.158
Br28 0.771 0.955 0.342
Br29 0.816 0.045 0.842
Br30 0.816 0.771 0.658
Br31 0.861 0.273 0.000
Br32 0.861 0.589 0.500
Br33 0.923 0.361 0.343
Br34 0.923 0.562 0.157
Br35 0.955 0.184 0.658
Br36 0.955 0.771 0.842